A geometry-optimized Ac3Cd structure, computed with PBE-GGA.

a = 5.2458 Å, b = 5.2458 Å, c = 11.2466 Å
α = 90.00°, β = 90.00°, γ = 90.00°
Last column: nearest neighbours and their distance in Å.
Space group I4/mmm (No. 139)
Asymmetric unit:
Ac: 0.0000 0.0000 0.0000 x2  4 Cd 3.71, 8 Ac 3.85
Ac: 0.0000 0.5000 0.2500 x4  8 Ac 3.71-3.85, 4 Cd 3.85
Cd: 0.0000 0.0000 0.5000 x2  12 Ac 3.71-3.85

Energy above the lowest structure with this stoichiometry in kJ/mol of formula units: 1
VASP energy in eV per atom: -3.344